1.
Compound: NbBiO4
Source: the Materials Project database
Functional: meta-GGA r2SCAN
Structure: optimized geometry

a b c (Å): 5.5434 7.6884 7.9368
angles (deg): 101.43 90.15 92.76
Closest atoms and distances in Å follow each position.
Space group P-1 (No. 2)
Unique sites:
Nb  0.2212  0.3458  0.1784 [2 per cell]  4 O 1.88-2.00
Nb  0.2471  0.3247  0.6783 [2 per cell]  5 O 1.88-2.08
Bi  0.2346  0.8787  0.1244 [2 per cell]  4 O 2.22-2.41
Bi  0.2868  0.8325  0.6249 [2 per cell]  4 O 2.20-2.46
O  0.0081  0.8958  0.8235 [2 per cell]  1 Nb 2.20, 2 Bi 2.21-2.22
O  0.0403  0.8288  0.3651 [2 per cell]  1 Nb 1.92
O  0.0852  0.5560  0.7201 [2 per cell]  2 Nb 2.00
O  0.1432  0.3217  0.9442 [2 per cell]  1 Nb 1.88
O  0.3131  0.3292  0.4475 [2 per cell]  1 Nb 1.88
O  0.4330  0.5505  0.2105 [2 per cell]  2 Nb 1.89-2.08
O  0.4453  0.1064  0.6777 [2 per cell]  1 Nb 2.05, 1 Bi 2.20
O  0.4620  0.1567  0.1407 [2 per cell]  1 Nb 2.00

Properties
DFT formation energy: -2.23 eV/atom
Energy: -120.48 eV/f.u.

=====

2.
Compound: CoSb
Source: the Materials Project database
Functional: meta-GGA r2SCAN
Structure: optimized geometry

a b c (Å): 3.8447 3.8447 5.1560
angles (deg): 90.00 90.00 120.00
Closest atoms and distances in Å follow each position.
Space group P6_3/mmc (No. 194)
Unique sites:
Co  0.0000  0.0000  0.0000 [2 per cell]  6 Sb 2.57, 2 Co 2.58
Sb  0.3333  0.6667  0.2500 [2 per cell]  6 Co 2.57

Properties
DFT formation energy: -0.04 eV/atom
Energy: -39.02 eV/f.u.

=====

3.
Compound: CsTe7Mo6
Source: the Materials Project database
Functional: meta-GGA r2SCAN
Structure: optimized geometry

a b c (Å): 10.4876 10.4876 25.5469
angles (deg): 90.00 90.00 120.00
Closest atoms and distances in Å follow each position.
Space group R-3 (No. 148, hexagonal axes)
Unique sites:
Cs  0.0000  0.0000  0.1201 [6 per cell]  10 Te 3.84-4.19
Te  0.0000  0.0000  0.2759 [6 per cell]  3 Mo 2.72
Te  0.0073  0.3719  0.2970 [18 per cell]  4 Mo 2.80-2.92
Te  0.0133  0.3728  0.1196 [18 per cell]  4 Mo 2.78-2.88
Mo  0.0107  0.1521  0.5442 [18 per cell]  6 Mo 2.67-2.81, 4 Te 2.78-2.88
Mo  0.0158  0.1514  0.3646 [18 per cell]  4 Mo 2.62-2.81, 5 Te 2.72-2.92

Properties
DFT formation energy: -0.47 eV/atom
Energy: -366.01 eV/f.u.